# Si4BiO10

A relaxed structure of Si4BiO10 (GGA-PBE, Materials Project).

The calculation puts the calculated formation energy at -41.4 eV/f.u. As for the space group: P4/ncc (130). The spin magnetization is 1.04 μB/f.u.

Cell: 7.531 7.531 16.456 Å, 90.00 90.00 90.00°
Element x y z (fractional)
Si 0.005 0.081 0.156
Si 0.005 0.419 0.656
Si 0.081 0.005 0.656
Si 0.081 0.495 0.156
Si 0.419 0.005 0.156
Si 0.419 0.495 0.656
Si 0.495 0.081 0.656
Si 0.495 0.419 0.156
Si 0.505 0.581 0.844
Si 0.505 0.919 0.344
Si 0.581 0.505 0.344
Si 0.581 0.995 0.844
Si 0.919 0.505 0.844
Si 0.919 0.995 0.344
Si 0.995 0.581 0.344
Si 0.995 0.919 0.844
Bi 0.250 0.250 0.460
Bi 0.250 0.250 0.960
Bi 0.750 0.750 0.040
Bi 0.750 0.750 0.540
O 0.007 0.206 0.637
O 0.007 0.294 0.137
O 0.011 0.136 0.406
O 0.011 0.364 0.906
O 0.049 0.549 0.250
O 0.049 0.951 0.750
O 0.136 0.011 0.906
O 0.136 0.489 0.406
O 0.206 0.007 0.137
O 0.206 0.493 0.637
O 0.294 0.007 0.637
O 0.294 0.493 0.137
O 0.364 0.011 0.406
O 0.364 0.489 0.906
O 0.451 0.549 0.750
O 0.451 0.951 0.250
O 0.489 0.136 0.906
O 0.489 0.364 0.406
O 0.493 0.206 0.137
O 0.493 0.294 0.637
O 0.507 0.706 0.363
O 0.507 0.794 0.863
O 0.511 0.636 0.594
O 0.511 0.864 0.094
O 0.549 0.049 0.750
O 0.549 0.451 0.250
O 0.636 0.511 0.094
O 0.636 0.989 0.594
O 0.706 0.507 0.863
O 0.706 0.993 0.363
O 0.794 0.507 0.363
O 0.794 0.993 0.863
O 0.864 0.511 0.594
O 0.864 0.989 0.094
O 0.951 0.049 0.250
O 0.951 0.451 0.750
O 0.989 0.636 0.094
O 0.989 0.864 0.594
O 0.993 0.706 0.863
O 0.993 0.794 0.363

=====

# LuMgVS4

A relaxed structure of LuMgVS4 (GGA-PBE, Materials Project).

The calculation puts the calculated formation energy at -11.9 eV/f.u. As for the space group: Imma (74). The spin magnetization is 2.00 μB/f.u.

Cell: 7.501 7.501 7.501 Å, 120.40 119.35 90.22°
Element x y z (fractional)
Lu 0.000 0.000 0.000
Lu 0.500 0.000 0.500
Mg 0.376 0.626 0.750
Mg 0.624 0.374 0.250
V 0.000 0.000 0.500
V 0.000 0.500 0.000
S 0.218 0.749 0.469
S 0.220 0.251 0.969
S 0.232 0.228 0.495
S 0.232 0.737 0.005
S 0.768 0.263 0.995
S 0.768 0.772 0.505
S 0.780 0.749 0.031
S 0.782 0.251 0.531

=====

# Er2BPd6

A relaxed structure of Er2BPd6 (GGA-PBE, Materials Project).

The calculation puts the calculated formation energy at -7.4 eV/f.u. As for the space group: P4/mmm (123).

Cell: 4.283 4.283 8.084 Å, 90.00 90.00 90.00°
Element x y z (fractional)
Er 0.000 0.000 0.240
Er 0.000 0.000 0.760
B 0.500 0.500 0.500
Pd 0.000 0.500 0.000
Pd 0.000 0.500 0.500
Pd 0.500 0.000 0.000
Pd 0.500 0.000 0.500
Pd 0.500 0.500 0.240
Pd 0.500 0.500 0.760

=====

# NaMg14Mn

A relaxed structure of NaMg14Mn (GGA-PBE, Materials Project).

The calculation puts the calculated formation energy at 1.4 eV/f.u. As for the space group: Amm2 (38). For the distance to the lowest polymorph of the same formula, the calculation gives 5 meV per atom. The spin magnetization is 3.92 μB/f.u.

Cell: 10.239 6.401 6.401 Å, 60.25 90.00 90.00°
Element x y z (fractional)
Na 0.000 0.000 0.000
Mg 0.000 0.002 0.500
Mg 0.000 0.500 0.002
Mg 0.245 0.664 0.664
Mg 0.249 0.173 0.662
Mg 0.249 0.662 0.173
Mg 0.254 0.168 0.168
Mg 0.500 0.000 0.000
Mg 0.500 0.000 0.501
Mg 0.500 0.500 0.500
Mg 0.500 0.501 0.000
Mg 0.746 0.168 0.168
Mg 0.751 0.173 0.662
Mg 0.751 0.662 0.173
Mg 0.755 0.664 0.664
Mn 0.000 0.498 0.498

=====

# LaPdO4

A relaxed structure of LaPdO4 (GGA-PBE, Materials Project).

The calculation puts the calculated formation energy at -11.2 eV/f.u. As for the space group: R-3m (166). The spin magnetization is 0.00 μB/f.u.

Cell: 6.404 6.404 6.404 Å, 35.06 35.06 35.06°
Element x y z (fractional)
La 0.000 0.000 0.000
Pd 0.500 0.500 0.500
O 0.156 0.156 0.156
O 0.388 0.388 0.388
O 0.612 0.612 0.612
O 0.844 0.844 0.844

=====

# MgSi

A relaxed structure of MgSi (GGA-PBE, Materials Project).

The calculation puts the calculated formation energy at 0.2 eV/f.u. As for the space group: P1 (1). The spin magnetization is 0.00 μB/f.u.

Cell: 4.952 5.628 9.051 Å, 95.17 97.76 105.16°
Element x y z (fractional)
Mg 0.000 0.000 0.000
Mg 0.040 0.726 0.435
Mg 0.183 0.547 0.018
Mg 0.249 0.260 0.714
Mg 0.386 0.360 0.343
Mg 0.636 0.873 0.647
Si 0.126 0.740 0.751
Si 0.531 0.993 0.168
Si 0.607 0.279 0.984
Si 0.734 0.646 0.166
Si 0.744 0.390 0.613
Si 0.854 0.143 0.408

=====

# UGeIr

A relaxed structure of UGeIr (GGA-PBE, Materials Project).

The calculation puts the calculated formation energy at -1.8 eV/f.u. As for the space group: Pnma (62).

Cell: 6.676 4.368 7.715 Å, 90.00 90.00 90.00°
Element x y z (fractional)
U 0.008 0.250 0.203
U 0.492 0.750 0.703
U 0.508 0.250 0.297
U 0.992 0.750 0.797
Ge 0.181 0.250 0.584
Ge 0.319 0.750 0.084
Ge 0.681 0.250 0.916
Ge 0.819 0.750 0.416
Ir 0.229 0.750 0.414
Ir 0.271 0.250 0.914
Ir 0.729 0.750 0.086
Ir 0.771 0.250 0.586

=====

# CaMn2P2

A relaxed structure of CaMn2P2 (GGA-PBE, Materials Project).

The calculation puts the calculated formation energy at -3.4 eV/f.u. As for the space group: P-3m1 (164). The spin magnetization is 3.93 μB/f.u.

Cell: 3.795 3.795 6.782 Å, 90.00 90.00 120.00°
Element x y z (fractional)
Ca 0.000 0.000 0.000
Mn 0.333 0.667 0.617
Mn 0.667 0.333 0.383
P 0.333 0.667 0.282
P 0.667 0.333 0.718

=====

# K4B9Se9

A relaxed structure of K4B9Se9 (GGA-PBE, Materials Project).

The calculation puts the calculated formation energy at -16.8 eV/f.u. As for the space group: P1 (1). For the distance to the lowest polymorph of the same formula, the calculation gives 0 meV per atom.

Cell: 10.019 16.258 22.657 Å, 107.28 97.07 106.01°
Element x y z (fractional)
K 0.000 0.000 0.000
K 0.004 0.702 0.630
K 0.038 0.667 0.000
K 0.133 0.645 0.318
K 0.137 0.259 0.833
K 0.196 0.767 0.853
K 0.270 0.368 0.378
K 0.277 0.081 0.551
K 0.304 0.426 0.166
K 0.348 0.914 0.148
K 0.362 0.551 0.999
K 0.372 0.071 0.369
K 0.380 0.766 0.517
K 0.407 0.011 0.716
K 0.689 0.297 0.285
K 0.691 0.756 0.001
K 0.708 0.415 0.854
K 0.728 0.534 0.449
K 0.768 0.907 0.804
K 0.814 0.328 0.680
K 0.853 0.561 0.145
K 0.861 0.248 0.483
K 0.894 0.989 0.622
K 0.965 0.102 0.196
B 0.012 0.841 0.492
B 0.177 0.535 0.504
B 0.185 0.497 0.822
B 0.224 0.980 0.834
B 0.246 0.490 0.622
B 0.267 0.243 0.683
B 0.270 0.419 0.665
B 0.275 0.533 0.707
B 0.355 0.418 0.602
B 0.362 0.673 0.177
B 0.365 0.603 0.667
B 0.384 0.134 0.957
B 0.390 0.144 0.166
B 0.398 0.489 0.738
B 0.408 0.531 0.601
B 0.427 0.177 0.043
B 0.432 0.068 0.000
B 0.444 0.885 0.000
B 0.448 0.418 0.675
B 0.461 0.602 0.738
B 0.494 0.250 0.000
B 0.500 0.071 0.932
B 0.522 0.349 0.508
B 0.535 0.486 0.632
B 0.539 0.184 0.932
B 0.540 0.600 0.671
B 0.546 0.781 0.662
B 0.566 0.531 0.717
B 0.567 0.825 0.293
B 0.568 0.139 0.068
B 0.581 0.559 0.317
B 0.603 0.753 0.334
B 0.607 0.252 0.068
B 0.611 0.073 0.000
B 0.623 0.867 0.377
B 0.652 0.435 0.999
B 0.659 0.750 0.261
B 0.671 0.030 0.495
B 0.675 0.257 0.000
B 0.680 0.146 0.958
B 0.696 0.935 0.332
B 0.719 0.177 0.834
B 0.722 0.189 0.043
B 0.722 0.863 0.262
B 0.736 0.688 0.836
B 0.753 0.816 0.398
B 0.772 0.743 0.325
B 0.806 0.929 0.398
B 0.847 0.813 0.282
B 0.869 0.928 0.329
B 0.883 0.118 0.337
B 0.884 0.342 0.166
B 0.902 0.852 0.165
B 0.902 0.853 0.367
Se 0.012 0.044 0.331
Se 0.029 0.422 0.239
Se 0.073 0.481 0.561
Se 0.077 0.476 0.883
Se 0.078 0.567 0.442
Se 0.078 0.897 0.761
Se 0.090 0.868 0.420
Se 0.122 0.546 0.756
Se 0.128 0.302 0.662
Se 0.138 0.864 0.571
Se 0.191 0.084 0.897
Se 0.192 0.589 0.116
Se 0.206 0.130 0.697
Se 0.294 0.187 0.103
Se 0.303 0.949 0.000
Se 0.317 0.134 0.238
Se 0.324 0.313 0.521
Se 0.347 0.723 0.666
Se 0.364 0.467 0.819
Se 0.365 0.788 0.243
Se 0.377 0.763 0.001
Se 0.386 0.556 0.519
Se 0.414 0.965 0.851
Se 0.455 0.365 0.999
Se 0.465 0.640 0.339
Se 0.470 0.304 0.685
Se 0.506 0.432 0.303
Se 0.510 0.919 0.438
Se 0.542 0.205 0.849
Se 0.544 0.647 0.181
Se 0.552 0.709 0.819
Se 0.565 0.115 0.150
Se 0.568 0.294 0.429
Se 0.606 0.900 0.657
Se 0.636 0.124 0.558
Se 0.642 0.955 0.000
Se 0.671 0.449 0.580
Se 0.679 0.056 0.333
Se 0.681 0.713 0.668
Se 0.693 0.356 0.151
Se 0.699 0.558 0.999
Se 0.732 0.889 0.180
Se 0.755 0.574 0.779
Se 0.783 0.618 0.315
Se 0.791 0.185 0.761
Se 0.800 0.377 0.000
Se 0.801 0.791 0.479
Se 0.815 0.136 0.898
Se 0.866 0.036 0.481
Se 0.897 0.774 0.902
Se 0.916 0.238 0.102
Se 0.948 0.242 0.343
Se 0.976 0.794 0.221
Se 0.998 0.873 0.099

=====

# MgSi2

A relaxed structure of MgSi2 (GGA-PBE, Materials Project).

The calculation puts the calculated formation energy at 0.4 eV/f.u. As for the space group: P1 (1). For the distance to the lowest polymorph of the same formula, the calculation gives 72 meV per atom. The spin magnetization is 0.00 μB/f.u.

Cell: 3.763 6.284 10.374 Å, 102.50 93.77 90.05°
Element x y z (fractional)
Mg 0.000 0.000 0.000
Mg 0.050 0.845 0.485
Mg 0.479 0.532 0.989
Mg 0.543 0.310 0.478
Si 0.006 0.707 0.190
Si 0.037 0.408 0.290
Si 0.059 0.245 0.674
Si 0.474 0.794 0.803
Si 0.520 0.210 0.191
Si 0.523 0.905 0.289
Si 0.584 0.173 0.800
Si 0.948 0.628 0.679

=====

# Zr3V3C

A relaxed structure of Zr3V3C (GGA-PBE, Materials Project).

The calculation puts the calculated formation energy at -1.3 eV/f.u. As for the space group: Fd-3m (227). The spin magnetization is 0.08 μB/f.u.

Cell: 8.664 8.664 8.664 Å, 60.00 60.00 60.00°
Element x y z (fractional)
Zr 0.066 0.066 0.684
Zr 0.066 0.684 0.066
Zr 0.066 0.684 0.684
Zr 0.316 0.316 0.934
Zr 0.316 0.934 0.316
Zr 0.316 0.934 0.934
Zr 0.684 0.066 0.066
Zr 0.684 0.066 0.684
Zr 0.684 0.684 0.066
Zr 0.934 0.316 0.316
Zr 0.934 0.316 0.934
Zr 0.934 0.934 0.316
V 0.000 0.500 0.500
V 0.299 0.299 0.299
V 0.299 0.299 0.603
V 0.299 0.603 0.299
V 0.397 0.701 0.701
V 0.500 0.000 0.500
V 0.500 0.500 0.000
V 0.500 0.500 0.500
V 0.603 0.299 0.299
V 0.701 0.397 0.701
V 0.701 0.701 0.397
V 0.701 0.701 0.701
C 0.000 0.000 0.000
C 0.000 0.000 0.500
C 0.000 0.500 0.000
C 0.500 0.000 0.000

=====

# HfCl4

A relaxed structure of HfCl4 (GGA-PBE, Materials Project).

The calculation puts the calculated formation energy at -11.6 eV/f.u. As for the space group: P2/c (13).

Cell: 6.916 7.943 6.324 Å, 90.00 107.93 90.00°
Element x y z (fractional)
Hf 0.000 0.153 0.250
Hf 0.000 0.847 0.750
Cl 0.206 0.100 0.995
Cl 0.206 0.900 0.495
Cl 0.236 0.341 0.464
Cl 0.236 0.659 0.964
Cl 0.764 0.341 0.036
Cl 0.764 0.659 0.536
Cl 0.794 0.100 0.505
Cl 0.794 0.900 0.005

=====

# BeRu2W

A relaxed structure of BeRu2W (GGA-PBE, Materials Project).

The calculation puts the calculated formation energy at -0.8 eV/f.u. As for the space group: Fm-3m (225).

Cell: 5.992 5.992 5.992 Å, 90.00 90.00 90.00°
Element x y z (fractional)
Be 0.000 0.000 0.000
Be 0.000 0.500 0.500
Be 0.500 0.000 0.500
Be 0.500 0.500 0.000
Ru 0.250 0.250 0.250
Ru 0.250 0.250 0.750
Ru 0.250 0.750 0.250
Ru 0.250 0.750 0.750
Ru 0.750 0.250 0.250
Ru 0.750 0.250 0.750
Ru 0.750 0.750 0.250
Ru 0.750 0.750 0.750
W 0.000 0.000 0.500
W 0.000 0.500 0.000
W 0.500 0.000 0.000
W 0.500 0.500 0.500